(1)
A relaxed structure of CeErS3. Source: Materials Project, functional PBE.

Cell: 3.927 10.971 21.492 Å, 78.47 90.00 90.00°
Atoms (fractional coordinates):
Ce 0.250 0.304 0.766
S 0.250 0.354 0.515
Ce 0.250 0.693 0.731
S 0.750 0.039 0.271
Ce 0.250 0.800 0.537
Ce 0.750 0.200 0.463
S 0.750 0.255 0.677
S 0.250 0.206 0.366
S 0.250 0.086 0.038
S 0.250 0.342 0.900
S 0.250 0.876 0.165
S 0.750 0.363 0.036
S 0.250 0.637 0.964
S 0.250 0.549 0.634
Ce 0.250 0.908 0.863
Er 0.750 0.523 0.911
S 0.750 0.794 0.634
S 0.750 0.914 0.962
S 0.750 0.658 0.100
S 0.750 0.942 0.445
Er 0.750 0.030 0.648
S 0.750 0.124 0.835
S 0.250 0.506 0.222
Ce 0.750 0.696 0.234
S 0.250 0.058 0.555
Er 0.250 0.823 0.046
S 0.750 0.646 0.485
S 0.250 0.252 0.176
S 0.250 0.961 0.729
S 0.750 0.451 0.366
S 0.750 0.748 0.824
Er 0.250 0.970 0.352
Ce 0.750 0.307 0.269
Er 0.250 0.477 0.089
S 0.250 0.745 0.323
S 0.750 0.494 0.778
Er 0.750 0.447 0.582
Er 0.250 0.553 0.418
Ce 0.750 0.092 0.137
Er 0.750 0.177 0.954

Output
Its space-group type is P2_1/m (11). The calculation puts the energy of formation at -2344 meV/atom.



(2)
A relaxed structure of Ce4Er11S22. Source: Materials Project, functional PBE.

Cell: 3.930 11.361 19.675 Å, 91.45 95.73 90.00°
Atoms (fractional coordinates):
Ce 0.367 0.348 0.734
S 0.189 0.690 0.378
S 0.135 0.454 0.270
Er 0.263 0.352 0.526
S 0.650 0.908 0.299
Ce 0.896 0.988 0.791
Er 0.342 0.699 0.685
S 0.831 0.849 0.662
S 0.547 0.969 0.094
Er 0.798 0.059 0.595
S 0.745 0.881 0.490
Er 0.202 0.941 0.405
S 0.407 0.788 0.815
Er 0.000 0.000 0.000
S 0.720 0.411 0.439
Er 0.930 0.639 0.861
S 0.555 0.507 0.110
S 0.593 0.212 0.185
Er 0.462 0.271 0.924
Er 0.737 0.648 0.474
S 0.453 0.031 0.906
S 0.865 0.546 0.730
Er 0.658 0.301 0.315
S 0.350 0.092 0.701
S 0.992 0.759 0.984
S 0.811 0.310 0.622
S 0.255 0.119 0.510
S 0.912 0.249 0.824
Er 0.538 0.729 0.076
Ce 0.633 0.652 0.266
S 0.169 0.151 0.338
S 0.088 0.751 0.176
S 0.008 0.241 0.016
Ce 0.104 0.012 0.209
S 0.445 0.493 0.890
S 0.280 0.589 0.561
Er 0.070 0.361 0.139

Output
Its space-group type is C2/m (12). The calculation puts the energy of formation at -2367 meV/atom.



(3)
A relaxed structure of Ce3Eu. Source: Materials Project, functional PBE.

Cell: 5.972 5.972 5.972 Å, 132.34 132.34 69.69°
Atoms (fractional coordinates):
Ce 0.500 0.500 0.000
Ce 0.750 0.250 0.500
Eu 0.000 0.000 0.000
Ce 0.250 0.750 0.500

Output
Its space-group type is I4/mmm (139). The calculation puts the energy of formation at 208 meV/atom.



(4)
A relaxed structure of CeEu3. Source: Materials Project, functional PBE.

Cell: 7.762 7.762 6.309 Å, 90.00 90.00 120.00°
Atoms (fractional coordinates):
Eu 0.170 0.340 0.250
Ce 0.333 0.667 0.750
Ce 0.667 0.333 0.250
Eu 0.340 0.170 0.750
Eu 0.830 0.170 0.750
Eu 0.830 0.660 0.750
Eu 0.660 0.830 0.250
Eu 0.170 0.830 0.250

Output
Its space-group type is P6_3/mmc (194). The calculation puts the energy of formation at 149 meV/atom.



(5)
A relaxed structure of CeEu2ZrO6. Source: Materials Project, functional PBE.

Cell: 6.101 6.101 6.101 Å, 60.00 60.00 60.00°
Atoms (fractional coordinates):
Zr 0.500 0.500 0.500
Ce 0.000 0.000 0.000
Eu 0.250 0.250 0.250
O 0.257 0.743 0.743
O 0.743 0.743 0.257
O 0.257 0.743 0.257
O 0.257 0.257 0.743
Eu 0.750 0.750 0.750
O 0.743 0.257 0.257
O 0.743 0.257 0.743

Output
Its space-group type is Fm-3m (225). The calculation puts the energy of formation at -3475 meV/atom.



(6)
A relaxed structure of CeEu2ZrO6. Source: Materials Project, functional PBE.

Cell: 8.614 8.614 8.614 Å, 90.00 90.00 90.00°
Atoms (fractional coordinates):
Eu 0.000 0.500 0.000
Ce 0.750 0.250 0.250
O 0.008 0.712 0.794
O 0.794 0.008 0.712
O 0.992 0.288 0.794
O 0.794 0.992 0.288
Zr 0.750 0.750 0.250
Zr 0.250 0.750 0.750
Eu 0.500 0.500 0.500
O 0.712 0.794 0.008
O 0.508 0.212 0.706
O 0.492 0.212 0.294
O 0.492 0.788 0.706
Eu 0.000 0.000 0.500
O 0.788 0.706 0.492
O 0.294 0.508 0.788
O 0.788 0.294 0.508
Eu 0.000 0.000 0.000
O 0.206 0.008 0.288
Eu 0.500 0.000 0.000
Eu 0.000 0.500 0.500
Zr 0.750 0.250 0.750
Ce 0.750 0.750 0.750
O 0.008 0.288 0.206
O 0.712 0.206 0.992
Eu 0.500 0.000 0.500
O 0.212 0.706 0.508
Ce 0.250 0.250 0.750
O 0.508 0.788 0.294
O 0.206 0.992 0.712
Zr 0.250 0.250 0.250
O 0.288 0.206 0.008
O 0.992 0.712 0.206
O 0.288 0.794 0.992
O 0.294 0.492 0.212
O 0.706 0.508 0.212
Ce 0.250 0.750 0.250
O 0.706 0.492 0.788
Eu 0.500 0.500 0.000
O 0.212 0.294 0.492

Output
Its space-group type is Pn-3 (201). The calculation puts the energy of formation at -3567 meV/atom.